Computed, not measured: ZnBi2O5 after structural relaxation at the PBE level of DFT.

```
ZnBi2O5
1.0
5.6271 0.0000 0.0000
0.0000 10.2473 0.0000
0.0000 0.0000 16.4120
Bi O Zn
16 40 8
direct
0.5967 0.6271 0.0623
0.4584 0.1422 0.7528
0.9033 0.6271 0.5623
0.9033 0.1271 0.9377
0.4584 0.6422 0.7472
0.0967 0.3729 0.4377
0.0416 0.1422 0.2528
0.5967 0.1271 0.4377
0.9584 0.3578 0.7528
0.0967 0.8729 0.0623
0.5416 0.8578 0.2472
0.4033 0.3729 0.9377
0.9584 0.8578 0.7472
0.5416 0.3578 0.2528
0.0416 0.6422 0.2472
0.4033 0.8729 0.5623
0.8871 0.7934 0.1630
0.5943 0.7202 0.5012
0.3871 0.7066 0.1630
0.7873 0.6977 0.8135
0.2127 0.3023 0.1865
0.9057 0.2202 0.4988
0.8043 0.5070 0.4558
0.7127 0.1977 0.1865
0.7127 0.6977 0.3135
0.6129 0.7934 0.6630
0.7076 0.5026 0.6410
0.6957 0.0070 0.5442
0.9057 0.7202 0.0012
0.2924 0.9974 0.1410
0.6129 0.2934 0.8370
0.7924 0.5026 0.1410
0.2873 0.8023 0.8135
0.1957 0.9930 0.9558
0.3043 0.9930 0.4558
0.5943 0.2202 0.9988
0.2076 0.4974 0.8590
0.8043 0.0070 0.0442
0.6957 0.5070 0.9558
0.1129 0.2066 0.8370
0.2127 0.8023 0.3135
0.4057 0.2798 0.4988
0.7076 0.0026 0.8590
0.8871 0.2934 0.3370
0.0943 0.7798 0.5012
0.3043 0.4930 0.0442
0.2873 0.3023 0.6865
0.1129 0.7066 0.6630
0.4057 0.7798 0.0012
0.7924 0.0026 0.3590
0.1957 0.4930 0.5442
0.7873 0.1977 0.6865
0.2924 0.4974 0.3590
0.3871 0.2066 0.3370
0.2076 0.9974 0.6410
0.0943 0.2798 0.9988
0.5406 0.6100 0.4040
0.9594 0.6100 0.9040
0.0406 0.8900 0.4040
0.4594 0.8900 0.9040
0.0406 0.3900 0.0960
0.9594 0.1100 0.5960
0.4594 0.3900 0.5960
0.5406 0.1100 0.0960
```

Calculated values
SG: Pbca, No. 61
Energy relative to the elements in eV per formula unit: -12.11
Relative energy among the computed polymorphs in meV per atom: 0
DFT total energy in eV/atom: -5.306



Computed, not measured: ZnBi2O4 after structural relaxation at the PBE level of DFT.

```
ZnBi2O4
1.0
1.6571 -5.6571 0.0000
1.6571 5.6571 0.0000
0.0000 0.0000 11.2001
O Zn Bi
8 2 4
direct
0.9981 0.0019 0.2500
0.5000 0.5000 0.5000
0.7789 0.2211 0.1174
0.5000 0.5000 0.0000
0.0019 0.9981 0.7500
0.2211 0.7789 0.6174
0.2211 0.7789 0.8826
0.7789 0.2211 0.3826
0.6041 0.3959 0.7500
0.3959 0.6041 0.2500
0.1326 0.8674 0.4232
0.8674 0.1326 0.9232
0.8674 0.1326 0.5768
0.1326 0.8674 0.0768
```

Calculated values
SG: Cmcm, No. 63
Energy relative to the elements in eV per formula unit: -9.78
Relative energy among the computed polymorphs in meV per atom: 219
DFT total energy in eV/atom: -5.123



Computed, not measured: ZnBi4O8 after structural relaxation at the PBE level of DFT.

```
ZnBi4O8
1.0
-7.2326 -1.9880 -4.5906
-4.8822 -3.8431 -6.2234
-5.5978 -8.3380 1.4149
Bi O Zn
4 8 1
direct
0.8531 0.8531 0.8480
0.1236 0.1236 0.2026
0.6411 0.6411 0.5712
0.3529 0.3529 0.4891
0.1517 0.1517 0.3941
0.8029 0.8029 0.3640
0.1948 0.1948 0.6479
0.8731 0.8731 0.6142
0.5271 0.5271 0.2651
0.8021 0.8021 0.0986
0.4511 0.4511 0.7756
0.2541 0.2541 0.9154
0.2977 0.2977 0.2230
```

Calculated values
SG: Cm, No. 8
Energy relative to the elements in eV per formula unit: -18.88
Relative energy among the computed polymorphs in meV per atom: 0
DFT total energy in eV/atom: -5.368



Computed, not measured: ZnBi2O4 after structural relaxation at the PBE level of DFT.

```
ZnBi2O4
1.0
-2.2577 -0.5462 2.4592
-6.4231 -5.5242 -7.1240
5.3333 -9.7289 2.7357
O Bi Zn
16 8 4
direct
0.7500 0.9691 0.4076
0.2500 0.0309 0.5924
0.2500 0.3215 0.5196
0.2500 0.7542 0.7424
0.7500 0.9780 0.7951
0.7500 0.6785 0.4804
0.7500 0.4780 0.7049
0.2500 0.8215 0.9804
0.7500 0.7458 0.2424
0.2500 0.2542 0.7576
0.7500 0.4691 0.0924
0.2500 0.5309 0.9076
0.2500 0.5220 0.2951
0.7500 0.1785 0.0196
0.7500 0.2458 0.2576
0.2500 0.0220 0.2049
0.2500 0.0954 0.3959
0.7500 0.4050 0.3706
0.2500 0.5950 0.6294
0.2500 0.0950 0.8706
0.7500 0.9050 0.1294
0.7500 0.4046 0.8959
0.2500 0.5954 0.1041
0.7500 0.9046 0.6041
0.2500 0.1982 0.1379
0.2500 0.6982 0.3621
0.7500 0.3018 0.6379
0.7500 0.8018 0.8621
```

Calculated values
SG: Pnma, No. 62
Energy relative to the elements in eV per formula unit: -10.31
Relative energy among the computed polymorphs in meV per atom: 144
DFT total energy in eV/atom: -5.198



Computed, not measured: ZnBi2O4 after structural relaxation at the PBE level of DFT.

```
ZnBi2O4
1.0
3.4007 0.0000 0.0000
0.0000 10.6948 0.0000
0.0000 0.0000 11.4787
O Zn Bi
16 4 8
direct
0.2437 0.2500 0.0000
0.6396 0.7469 0.7500
0.2404 0.9650 0.6037
0.7596 0.4650 0.6037
0.6396 0.7531 0.2500
0.2404 0.9650 0.8963
0.2404 0.5350 0.3963
0.2437 0.2500 0.5000
0.3604 0.2531 0.2500
0.7596 0.0350 0.3963
0.3604 0.2469 0.7500
0.7596 0.4650 0.8963
0.2404 0.5350 0.1037
0.7563 0.7500 0.5000
0.7563 0.7500 0.0000
0.7596 0.0350 0.1037
0.1424 0.6418 0.2500
0.8576 0.1418 0.2500
0.8576 0.3582 0.7500
0.1424 0.8582 0.7500
0.3288 0.8778 0.0874
0.3288 0.6222 0.9126
0.6712 0.1222 0.5874
0.6712 0.1222 0.9126
0.3288 0.6222 0.5874
0.3288 0.8778 0.4126
0.6712 0.3778 0.0874
0.6712 0.3778 0.4126
```

Calculated values
SG: Pbcm, No. 57
Energy relative to the elements in eV per formula unit: -10.50
Relative energy among the computed polymorphs in meV per atom: 115
DFT total energy in eV/atom: -5.227



Computed, not measured: ZnBi12O20 after structural relaxation at the PBE level of DFT.

```
ZnBi12O20
1.0
-5.0990 5.0990 5.0990
5.0990 -5.0990 5.0990
5.0990 5.0990 -5.0990
O Bi Zn
20 12 1
direct
0.3801 0.6195 0.7385
0.3786 0.3786 0.3786
0.6195 0.7385 0.3801
0.0000 0.2298 0.0000
0.2394 0.6199 0.3584
0.3805 0.7606 0.1190
0.7385 0.3801 0.6195
0.7606 0.1190 0.3805
0.6416 0.2615 0.8810
0.0000 0.0000 0.2298
0.0000 0.0000 0.6214
0.3584 0.2394 0.6199
0.6214 0.0000 0.0000
0.7702 0.7702 0.7702
0.6199 0.3584 0.2394
0.1190 0.3805 0.7606
0.2615 0.8810 0.6416
0.0000 0.6214 0.0000
0.8810 0.6416 0.2615
0.2298 0.0000 0.0000
0.8327 0.6918 0.5110
0.1673 0.6782 0.8591
0.1808 0.3218 0.4890
0.3082 0.1409 0.8192
0.5110 0.8327 0.6918
0.6918 0.5110 0.8327
0.6782 0.8591 0.1673
0.4890 0.1808 0.3218
0.8591 0.1673 0.6782
0.3218 0.4890 0.1808
0.8192 0.3082 0.1409
0.1409 0.8192 0.3082
0.0000 0.0000 0.0000
```

Calculated values
SG: I23, No. 197
Energy relative to the elements in eV per formula unit: -51.65
DFT total energy in eV/atom: -5.600



Computed, not measured: ZnBi4O8 after structural relaxation at the PBE level of DFT.

```
ZnBi4O8
1.0
3.4566 0.0000 0.0000
-1.3682 7.7254 0.0000
-1.2805 -1.8665 8.8525
O Bi Zn
8 4 1
direct
0.2507 0.3649 0.9702
0.8401 0.1083 0.7013
0.6136 0.4464 0.7230
0.8359 0.6869 0.0024
0.4417 0.5464 0.3421
0.7788 0.2189 0.2872
0.1981 0.9491 0.4349
0.2401 0.7788 0.7242
0.3451 0.2310 0.4427
0.8424 0.4717 0.1844
0.2331 0.5875 0.8566
0.6910 0.8379 0.5582
0.4177 0.2029 0.7966
```

Calculated values
SG: P1, No. 1
Energy relative to the elements in eV per formula unit: -18.83
Relative energy among the computed polymorphs in meV per atom: 4
DFT total energy in eV/atom: -5.364



Computed, not measured: ZnBiO3 after structural relaxation at the PBE level of DFT.

```
ZnBiO3
1.0
3.9114 0.0000 0.0000
0.0000 3.9114 0.0000
0.0000 0.0000 3.9114
O Zn Bi
3 1 1
direct
0.5000 0.5000 0.0000
0.5000 0.0000 0.5000
0.0000 0.5000 0.5000
0.5000 0.5000 0.5000
0.0000 0.0000 0.0000
```

Calculated values
SG: Pm-3m, No. 221
Energy relative to the elements in eV per formula unit: -6.06
DFT total energy in eV/atom: -4.798



Computed, not measured: Zn2BiO6 after structural relaxation at the PBE level of DFT.

```
Zn2BiO6
1.0
-0.8273 -4.6964 -0.8091
4.6931 -0.6602 -0.9665
1.6482 -1.8916 9.2951
O Zn Bi
12 4 2
direct
0.8141 0.1859 0.5000
0.6970 0.6970 0.3252
0.8030 0.1970 0.1748
0.3030 0.3030 0.6748
0.3030 0.3030 0.3252
0.6859 0.6859 0.0000
0.1859 0.8141 0.5000
0.3141 0.3141 0.0000
0.6970 0.6970 0.6748
0.1970 0.8030 0.1748
0.1970 0.8030 0.8252
0.8030 0.1970 0.8252
0.5000 0.5000 0.8350
0.0000 0.0000 0.3350
0.0000 0.0000 0.6650
0.5000 0.5000 0.1650
0.0000 0.0000 0.0000
0.5000 0.5000 0.5000
```

Calculated values
SG: P4_2/mnm, No. 136
Energy relative to the elements in eV per formula unit: -9.30
DFT total energy in eV/atom: -4.586



Computed, not measured: ZnBi2O4 after structural relaxation at the PBE level of DFT.

```
ZnBi2O4
1.0
-2.9822 0.0170 1.8061
0.4070 -6.2122 -2.4688
6.7033 -0.4352 7.8286
Bi O Zn
4 8 2
direct
0.8008 0.6950 0.9317
0.7807 0.1551 0.3877
0.1992 0.3050 0.0683
0.2193 0.8449 0.6123
0.1534 0.0248 0.2551
0.1854 0.5994 0.7799
0.6455 0.3556 0.9077
0.6298 0.8221 0.4054
0.8466 0.9752 0.7449
0.3545 0.6444 0.0923
0.3702 0.1779 0.5946
0.8146 0.4006 0.2201
0.0325 0.7169 0.2710
0.9675 0.2831 0.7290
```

Calculated values
SG: P-1, No. 2
Energy relative to the elements in eV per formula unit: -11.31
Relative energy among the computed polymorphs in meV per atom: 0
DFT total energy in eV/atom: -5.342



Computed, not measured: ZnBi2O5 after structural relaxation at the PBE level of DFT.

```
ZnBi2O5
1.0
3.8934 0.5648 4.4068
-4.9207 2.7386 -1.7845
-5.9910 -6.7517 6.1583
Bi O Zn
4 10 2
direct
0.8598 0.1402 0.5706
0.8598 0.1402 0.9294
0.1402 0.8598 0.4294
0.1402 0.8598 0.0706
0.3033 0.6967 0.9202
0.6967 0.3033 0.4202
0.7592 0.2408 0.7500
0.0543 0.9457 0.8853
0.2408 0.7592 0.2500
0.0543 0.9457 0.6147
0.9457 0.0543 0.1147
0.9457 0.0543 0.3853
0.6967 0.3033 0.0798
0.3033 0.6967 0.5798
0.8171 0.1829 0.2500
0.1829 0.8171 0.7500
```

Calculated values
SG: Cmcm, No. 63
Energy relative to the elements in eV per formula unit: -11.68
Relative energy among the computed polymorphs in meV per atom: 53
DFT total energy in eV/atom: -5.253



Computed, not measured: ZrBiO4 after structural relaxation at the PBE level of DFT.

```
ZrBiO4
1.0
-4.3129 3.3361 -0.7172
-3.4226 -3.7757 5.9633
3.7666 5.4629 4.2107
O Zr Bi
16 4 4
direct
0.0820 0.9094 0.8087
0.4107 0.1717 0.0799
0.4153 0.6924 0.5900
0.5893 0.8283 0.9201
0.9180 0.0906 0.1913
0.8981 0.5821 0.6776
0.5002 0.6129 0.1850
0.5847 0.3076 0.4100
0.4027 0.9269 0.3193
0.9915 0.3178 0.8875
0.0946 0.1847 0.5721
0.4998 0.3871 0.8150
0.1019 0.4179 0.3224
0.0085 0.6822 0.1125
0.5973 0.0731 0.6807
0.9054 0.8153 0.4279
0.2211 0.6715 0.3599
0.7429 0.8273 0.6702
0.2571 0.1727 0.3298
0.7789 0.3285 0.6401
0.2452 0.6385 0.8634
0.2767 0.1505 0.8219
0.7233 0.8495 0.1781
0.7548 0.3615 0.1366
```

Calculated values
SG: P-1, No. 2
Energy relative to the elements in eV per formula unit: -15.66
DFT total energy in eV/atom: -7.523